Entry 1:
Compound: BaTiAs2O8
Source: the Materials Project
Functional: PBE-GGA
Structure: relaxed

```
BaTiAs2O8
1.0
2.369 -1.437 4.295
-3.090 -0.749 4.002
-0.891 -7.766 -1.659
As O Ti Ba
2 8 1 1
direct
0.636 0.636 0.203
0.364 0.364 0.797
0.267 0.773 0.180
0.780 0.780 0.046
0.773 0.267 0.180
0.306 0.306 0.598
0.227 0.733 0.820
0.733 0.227 0.820
0.694 0.694 0.402
0.220 0.220 0.954
0.000 0.000 0.000
0.000 0.000 0.500
```

energy	-0.512	Ry/atom
energy relative to the elements	-2928	kJ/mol of formula units

Entry 2:
Compound: Ba4U8As2O33
Source: the Materials Project
Functional: PBE-GGA
Structure: relaxed

```
Ba4U8As2O33
1.0
7.112 0.000 0.000
0.000 14.353 0.000
0.000 0.000 15.694
U O Ba As
16 66 8 4
direct
0.500 0.500 0.875
0.001 0.500 0.500
0.999 0.000 0.000
0.000 0.500 0.000
0.501 0.996 0.138
0.000 0.500 0.268
0.500 0.000 0.625
0.499 0.496 0.362
0.500 0.000 0.375
0.000 0.500 0.732
0.000 0.000 0.232
0.500 0.500 0.125
0.499 0.496 0.638
0.501 0.996 0.862
0.000 0.000 0.500
0.000 0.000 0.768
0.021 0.127 0.232
0.303 0.517 0.000
0.461 0.368 0.647
0.774 0.253 0.087
0.021 0.373 0.732
0.683 0.022 0.262
0.495 0.482 0.500
0.979 0.873 0.232
0.226 0.753 0.413
0.464 0.126 0.862
0.979 0.627 0.268
0.979 0.627 0.732
0.930 0.655 0.000
0.445 0.127 0.624
0.683 0.478 0.238
0.226 0.747 0.913
0.178 0.985 0.099
0.539 0.868 0.853
0.505 0.982 0.000
0.979 0.873 0.768
0.555 0.627 0.876
0.178 0.516 0.400
0.930 0.845 0.500
0.000 0.000 0.378
0.539 0.868 0.147
0.683 0.022 0.738
0.445 0.374 0.124
0.226 0.747 0.087
0.021 0.127 0.768
0.697 0.483 0.000
0.464 0.126 0.138
0.021 0.373 0.268
0.536 0.626 0.638
0.317 0.978 0.262
0.936 0.654 0.500
0.226 0.753 0.587
0.697 0.017 0.500
0.178 0.516 0.600
0.774 0.247 0.413
0.822 0.485 0.401
0.683 0.478 0.762
0.937 0.845 0.000
0.000 0.000 0.622
0.774 0.247 0.587
0.555 0.874 0.376
0.822 0.485 0.599
0.461 0.368 0.353
0.555 0.627 0.124
0.000 0.500 0.122
0.303 0.983 0.500
0.445 0.127 0.376
0.070 0.345 0.000
0.070 0.155 0.500
0.064 0.154 0.000
0.555 0.874 0.624
0.063 0.345 0.500
0.317 0.522 0.762
0.774 0.253 0.913
0.822 0.016 0.100
0.822 0.016 0.900
0.445 0.374 0.876
0.000 0.500 0.878
0.317 0.978 0.738
0.317 0.522 0.238
0.178 0.985 0.901
0.536 0.626 0.362
0.298 0.749 0.250
0.702 0.249 0.750
0.298 0.749 0.750
0.702 0.249 0.250
0.425 0.264 0.500
0.575 0.764 0.000
0.423 0.242 0.000
0.577 0.742 0.500
0.087 0.752 0.500
0.913 0.252 0.000
0.913 0.248 0.500
0.087 0.748 0.000
```

energy	-0.636	Ry/atom
energy relative to the elements	-15308	kJ/mol of formula units

Entry 3:
Compound: Ba2UAs2O10
Source: the Materials Project
Functional: PBE-GGA
Structure: relaxed

```
Ba2UAs2O10
1.0
8.914 0.000 0.000
0.000 11.388 0.000
0.000 5.822 20.944
O As U Ba
80 16 8 16
direct
0.611 0.665 0.821
0.217 0.122 0.233
0.998 0.354 0.514
0.581 0.882 0.908
0.776 0.171 0.556
0.052 0.343 0.019
0.283 0.122 0.733
0.543 0.868 0.522
0.404 0.834 0.174
0.299 0.832 0.292
0.270 0.614 0.251
0.516 0.392 0.866
0.488 0.106 0.623
0.419 0.341 0.654
0.204 0.610 0.911
0.581 0.659 0.346
0.889 0.665 0.321
0.610 0.346 0.407
0.696 0.888 0.124
0.919 0.659 0.846
0.296 0.610 0.411
0.730 0.386 0.749
0.111 0.335 0.679
0.389 0.335 0.179
0.704 0.390 0.589
0.796 0.390 0.089
0.018 0.850 0.533
0.096 0.825 0.196
0.701 0.168 0.708
0.804 0.888 0.624
0.783 0.878 0.767
0.799 0.168 0.208
0.390 0.654 0.593
0.512 0.894 0.377
0.196 0.112 0.376
0.457 0.132 0.478
0.201 0.832 0.792
0.419 0.118 0.092
0.984 0.392 0.366
0.482 0.850 0.033
0.982 0.150 0.467
0.081 0.341 0.154
0.224 0.829 0.444
0.016 0.608 0.634
0.304 0.112 0.876
0.299 0.338 0.404
0.448 0.343 0.519
0.904 0.166 0.326
0.904 0.175 0.804
0.821 0.658 0.728
0.596 0.166 0.826
0.201 0.338 0.904
0.484 0.608 0.134
0.002 0.646 0.486
0.096 0.834 0.674
0.110 0.654 0.093
0.890 0.346 0.907
0.717 0.878 0.267
0.179 0.342 0.272
0.043 0.132 0.978
0.724 0.171 0.056
0.770 0.386 0.249
0.498 0.646 0.986
0.552 0.657 0.481
0.230 0.614 0.751
0.919 0.882 0.408
0.321 0.342 0.772
0.988 0.894 0.877
0.518 0.150 0.967
0.957 0.868 0.022
0.679 0.658 0.228
0.701 0.662 0.596
0.799 0.662 0.096
0.948 0.657 0.981
0.404 0.825 0.696
0.596 0.175 0.304
0.502 0.354 0.014
0.276 0.829 0.944
0.012 0.106 0.123
0.081 0.118 0.592
0.264 0.768 0.229
0.278 0.276 0.709
0.044 0.287 0.951
0.036 0.798 0.465
0.956 0.713 0.049
0.722 0.724 0.291
0.544 0.713 0.549
0.778 0.724 0.791
0.456 0.287 0.451
0.236 0.768 0.729
0.222 0.276 0.209
0.964 0.202 0.535
0.764 0.232 0.271
0.464 0.798 0.965
0.736 0.232 0.771
0.536 0.202 0.035
0.094 0.251 0.373
0.904 0.249 0.107
0.096 0.751 0.893
0.404 0.751 0.393
0.906 0.749 0.627
0.596 0.249 0.607
0.406 0.251 0.873
0.594 0.749 0.127
0.485 0.445 0.281
0.498 0.958 0.781
0.502 0.042 0.219
0.515 0.555 0.719
0.298 0.962 0.563
0.796 0.515 0.444
0.985 0.555 0.219
0.202 0.962 0.063
0.204 0.485 0.556
0.998 0.042 0.719
0.015 0.445 0.781
0.296 0.485 0.056
0.002 0.958 0.281
0.702 0.038 0.437
0.798 0.038 0.937
0.704 0.515 0.944
```

energy	-0.535	Ry/atom
energy relative to the elements	-4071	kJ/mol of formula units

Entry 4:
Compound: Ba2Zn3As2O2
Source: the Materials Project
Functional: PBE-GGA
Structure: relaxed

```
Ba2Zn3As2O2
1.0
-0.751 -1.056 4.021
3.527 -2.325 0.048
3.859 9.714 1.051
As Zn O Ba
2 3 2 2
direct
0.825 0.825 0.650
0.175 0.175 0.350
0.250 0.750 0.500
0.000 0.000 0.000
0.750 0.250 0.500
0.000 0.500 0.000
0.500 0.000 0.000
0.411 0.411 0.822
0.589 0.589 0.178
```

energy	-0.312	Ry/atom
energy relative to the elements	-1229	kJ/mol of formula units

Entry 5:
Compound: BaZnAs2O7
Source: the Materials Project
Functional: PBE-GGA
Structure: relaxed

```
BaZnAs2O7
1.0
8.691 0.000 0.000
0.000 5.746 0.000
0.000 5.709 13.598
Zn O As Ba
4 28 8 4
direct
0.351 0.219 0.612
0.851 0.781 0.888
0.149 0.219 0.112
0.649 0.781 0.388
0.560 0.340 0.192
0.060 0.660 0.308
0.440 0.660 0.808
0.164 0.591 0.097
0.091 0.804 0.891
0.349 0.137 0.484
0.379 0.178 0.764
0.621 0.822 0.236
0.849 0.863 0.016
0.940 0.340 0.692
0.613 0.175 0.037
0.879 0.822 0.736
0.336 0.591 0.597
0.654 0.983 0.851
0.836 0.409 0.903
0.846 0.983 0.351
0.346 0.017 0.149
0.591 0.196 0.609
0.887 0.175 0.537
0.651 0.863 0.516
0.387 0.825 0.963
0.909 0.196 0.109
0.151 0.137 0.984
0.154 0.017 0.649
0.121 0.178 0.264
0.113 0.825 0.463
0.409 0.804 0.391
0.664 0.409 0.403
0.815 0.159 0.013
0.315 0.841 0.487
0.685 0.159 0.513
0.533 0.093 0.158
0.467 0.907 0.842
0.185 0.841 0.987
0.967 0.093 0.658
0.033 0.907 0.342
0.346 0.500 0.285
0.654 0.500 0.715
0.154 0.500 0.785
0.846 0.500 0.215
```

energy	-0.441	Ry/atom
energy relative to the elements	-2282	kJ/mol of formula units

Entry 6:
Compound: BaZrAs2O8
Source: the Materials Project
Functional: PBE-GGA
Structure: relaxed

```
BaZrAs2O8
1.0
4.387 2.838 -0.204
4.387 -2.838 -0.204
-0.006 0.000 -8.108
O Zr As Ba
8 1 2 1
direct
0.771 0.274 0.194
0.229 0.726 0.806
0.274 0.771 0.194
0.299 0.299 0.591
0.726 0.229 0.806
0.768 0.768 0.055
0.232 0.232 0.945
0.701 0.701 0.409
0.000 0.000 0.000
0.635 0.635 0.217
0.365 0.365 0.783
0.000 0.000 0.500
```

energy	-0.523	Ry/atom
energy relative to the elements	-3035	kJ/mol of formula units

Entry 7:
Compound: Ba3AsP
Source: the Materials Project
Functional: PBE-GGA
Structure: relaxed

```
Ba3AsP
1.0
6.071 0.000 0.000
0.000 6.071 0.000
0.000 0.000 6.071
Ba P As
3 1 1
direct
0.500 0.500 0.000
0.500 0.000 0.500
0.000 0.500 0.500
0.500 0.500 0.500
0.000 0.000 0.000
```

relative energy among the computed polymorphs	0	meV per atom
energy	-0.283	Ry/atom
energy relative to the elements	-331	kJ/mol of formula units

Entry 8:
Compound: Ba3AsP
Source: the Materials Project
Functional: PBE-GGA
Structure: relaxed

```
Ba3AsP
1.0
6.167 0.000 0.000
0.000 6.167 0.000
0.000 0.000 6.167
Ba As P
3 1 1
direct
0.500 0.000 0.500
0.000 0.500 0.500
0.500 0.500 0.000
0.500 0.500 0.500
0.000 0.000 0.000
```

relative energy among the computed polymorphs	183	meV per atom
energy	-0.270	Ry/atom
energy relative to the elements	-242	kJ/mol of formula units